DFT (PBE with a Hubbard U) results for Ca2Mn2B4O13 after structural relaxation.

Structure (POSCAR):
```
Ca2Mn2B4O13
1.0
8.356 0.000 0.000
0.000 12.142 0.000
0.000 0.000 8.936
Ca Mn B O
8 8 16 52
Direct
0.238 0.119 0.238
0.238 0.119 0.762
0.262 0.619 0.238
0.262 0.619 0.762
0.738 0.381 0.238
0.738 0.381 0.762
0.762 0.881 0.238
0.762 0.881 0.762
0.000 0.000 0.000
0.000 0.500 0.000
0.001 0.763 0.000
0.499 0.263 0.000
0.500 0.000 0.000
0.500 0.500 0.000
0.501 0.737 0.000
0.999 0.237 0.000
0.101 0.368 0.290
0.101 0.368 0.710
0.235 0.275 0.500
0.236 0.464 0.500
0.264 0.964 0.500
0.265 0.775 0.500
0.399 0.868 0.290
0.399 0.868 0.710
0.601 0.132 0.290
0.601 0.132 0.710
0.735 0.225 0.500
0.736 0.036 0.500
0.764 0.536 0.500
0.765 0.725 0.500
0.899 0.632 0.290
0.899 0.632 0.710
0.016 0.879 0.138
0.016 0.879 0.862
0.017 0.365 0.155
0.017 0.365 0.845
0.136 0.271 0.361
0.136 0.271 0.639
0.145 0.465 0.355
0.145 0.465 0.645
0.161 0.869 0.500
0.179 0.662 0.500
0.184 0.078 0.500
0.236 0.525 0.000
0.247 0.223 0.000
0.253 0.723 0.000
0.264 0.025 0.000
0.316 0.578 0.500
0.321 0.162 0.500
0.339 0.369 0.500
0.355 0.965 0.355
0.355 0.965 0.645
0.364 0.771 0.361
0.364 0.771 0.639
0.483 0.865 0.155
0.483 0.865 0.845
0.484 0.379 0.138
0.484 0.379 0.862
0.516 0.621 0.138
0.516 0.621 0.862
0.517 0.135 0.155
0.517 0.135 0.845
0.636 0.229 0.361
0.636 0.229 0.639
0.645 0.035 0.355
0.645 0.035 0.645
0.661 0.631 0.500
0.679 0.838 0.500
0.684 0.422 0.500
0.736 0.975 0.000
0.747 0.277 0.000
0.753 0.777 0.000
0.764 0.475 0.000
0.816 0.922 0.500
0.821 0.338 0.500
0.839 0.131 0.500
0.855 0.535 0.355
0.855 0.535 0.645
0.864 0.729 0.361
0.864 0.729 0.639
0.983 0.635 0.155
0.983 0.635 0.845
0.984 0.121 0.138
0.984 0.121 0.862
```

- Total energy: -7.2828 eV/atom
- Calculated volume: 10.79 Å³ per atom
- Energy of formation from the pure elements: -2.33 eV per atom
- M_tot: 24.00 Bohr magnetons per cell
- SG: No. 55